! LaMg6BO8 PBE-GGA relaxed; values from VASP
&SYSTEM
  ibrav = 0, nat = 16, ntyp = 4
/
ATOMIC_SPECIES
O 16.00 O.upf
Mg 24.30 Mg.upf
La 138.91 La.upf
B 10.81 B.upf
CELL_PARAMETERS angstrom
9.116 0.000 0.000
0.000 4.496 0.000
0.000 0.000 4.496
ATOMIC_POSITIONS crystal
O 0.253 0.500 0.500
O 0.000 0.000 0.500
O 0.742 0.000 0.000
O 0.500 0.000 0.500
O 0.747 0.500 0.500
O 0.500 0.500 0.000
O 0.000 0.500 0.000
O 0.258 0.000 0.000
Mg 0.720 0.000 0.500
Mg 0.280 0.000 0.500
Mg 0.000 0.500 0.500
Mg 0.500 0.500 0.500
Mg 0.280 0.500 0.000
Mg 0.720 0.500 0.000
La 0.000 0.000 0.000
B 0.500 0.000 0.000
! - Total magnetization: 0.00 μB/atom
! - Energy above the most stable polymorph in this dataset: 77 meV/atom
! - VASP energy: -94.09 eV/f.u.
! - E_form: -2.42 eV/atom